K2O after structural relaxation, computed with PBE.

Lattice parameters (Å, degrees): 9.364 9.364 6.666 90.00 90.00 90.00
Fractional positions:
K  0.000  0.000  0.744
K  0.000  0.500  0.964
O  0.000  0.733  0.726
O  0.267  0.000  0.274
K  0.251  0.251  0.000
K  0.000  0.500  0.464
O  0.733  0.000  0.274
O  0.500  0.767  0.774
K  0.000  0.000  0.256
K  0.749  0.251  0.000
O  0.767  0.500  0.226
K  0.500  0.500  0.244
K  0.249  0.249  0.500
K  0.500  0.000  0.536
O  0.000  0.267  0.726
K  0.749  0.749  0.000
O  0.233  0.500  0.226
K  0.251  0.749  0.000
K  0.751  0.751  0.500
O  0.500  0.233  0.774
K  0.751  0.249  0.500
K  0.500  0.500  0.756
K  0.500  0.000  0.036
K  0.249  0.751  0.500

Output
* energy: -80.58 eV for the cell shown
* ΔH_f (0 K): -1.197 eV per atom
* space-group type: P4_2/nmc